[1]
## Ho3TaO7 (PBE)

Data for a relaxed Ho3TaO7 crystal.

Output
corrected total energy (MP2020 scheme): -9.352 eV/atom
calculated volume: 13.450 A^3/atom
total energy: -8.915 eV/atom
SG: C222_1 (20)

Unit cell a=6.4768 b=6.4768 c=7.4406 alpha=90.00 beta=90.00 gamma=108.55
Closest atoms and distances in Å follow each position.
Fractional coordinates of all 22 atoms:
1 O 0.6922 0.9511 0.0456  1 Ta 1.93
2 O 0.0696 0.9304 0.2500  2 Ta 2.00
3 O 0.9168 0.6708 0.5243  1 Ta 2.05, 1 Ho 2.26
4 O 0.6287 0.3713 0.2500  4 Ho 2.30-2.32
5 O 0.6708 0.9168 0.4757  1 Ta 2.05, 1 Ho 2.26
6 O 0.3599 0.6401 0.2500  4 Ho 2.21-2.39
7 O 0.0832 0.3292 0.0243  1 Ta 2.05, 1 Ho 2.26
8 O 0.3292 0.0832 0.9757  1 Ta 2.05, 1 Ho 2.26
9 O 0.3078 0.0489 0.5456  1 Ta 1.93
10 O 0.9511 0.6922 0.9544  1 Ta 1.93
11 O 0.6401 0.3599 0.7500  4 Ho 2.21-2.39
12 O 0.3713 0.6287 0.7500  4 Ho 2.30-2.32
13 O 0.9304 0.0696 0.7500  2 Ta 2.00
14 O 0.0489 0.3078 0.4544  1 Ta 1.93
15 Ta 0.9976 0.9976 0.0000  6 O 1.93-2.05
16 Ta 0.0024 0.0024 0.5000  6 O 1.93-2.05
17 Ho 0.9997 0.4648 0.7409  7 O 2.21-2.45
18 Ho 0.5352 0.0003 0.7591  7 O 2.21-2.45
19 Ho 0.4614 0.4614 0.0000  6 O 2.32-2.39
20 Ho 0.0003 0.5352 0.2409  7 O 2.21-2.45
21 Ho 0.5386 0.5386 0.5000  6 O 2.32-2.39
22 Ho 0.4648 0.9997 0.2591  7 O 2.21-2.45

---

[2]
## Ho3TaO7 (PBE)

Data for a relaxed Ho3TaO7 crystal.

Output
corrected total energy (MP2020 scheme): -9.105 eV/atom
calculated volume: 13.036 A^3/atom
total magnetic moment: 0.00 μB/atom
total energy: -8.668 eV/atom
SG: Cmme (67)

Unit cell a=8.1058 b=8.1058 c=5.3572 alpha=90.00 beta=90.00 gamma=125.44
Closest atoms and distances in Å follow each position.
Fractional coordinates of all 22 atoms:
1 Ho 0.3798 0.6202 0.5286  4 O 2.08-2.25
2 Ho 0.0000 0.5000 0.0000  6 O 2.26-2.27
3 Ho 0.1202 0.8798 0.5286  4 O 2.08-2.25
4 Ho 0.5000 0.0000 0.0000  6 O 2.26-2.27
5 Ho 0.8798 0.1202 0.4714  4 O 2.08-2.25
6 Ho 0.6202 0.3798 0.4714  4 O 2.08-2.25
7 O 0.6623 0.9023 0.7637  1 Ta 2.16, 2 Ho 2.25-2.27
8 O 0.2500 0.7500 0.7586  4 Ho 2.24-2.26
9 O 0.4869 0.5131 0.7885  1 Ho 2.08, 2 Ta 2.18, 1 O 2.30
10 O 0.0131 0.9869 0.7885  1 Ho 2.08, 2 Ta 2.18, 1 O 2.30
11 O 0.8377 0.5977 0.7637  1 Ta 2.16, 2 Ho 2.25-2.27
12 O 0.9023 0.6623 0.2363  1 Ta 2.16, 2 Ho 2.25-2.27
13 O 0.1623 0.4023 0.2363  1 Ta 2.16, 2 Ho 2.25-2.27
14 O 0.7500 0.2500 0.2414  4 Ho 2.24-2.26
15 O 0.4023 0.1623 0.7637  1 Ta 2.16, 2 Ho 2.25-2.27
16 O 0.0977 0.3377 0.7637  1 Ta 2.16, 2 Ho 2.25-2.27
17 O 0.5131 0.4869 0.2115  1 Ho 2.08, 2 Ta 2.18, 1 O 2.30
18 O 0.9869 0.0131 0.2115  1 Ho 2.08, 2 Ta 2.18, 1 O 2.30
19 O 0.3377 0.0977 0.2363  1 Ta 2.16, 2 Ho 2.25-2.27
20 O 0.5977 0.8377 0.2363  1 Ta 2.16, 2 Ho 2.25-2.27
21 Ta 0.7500 0.7500 0.0000  8 O 2.16-2.18
22 Ta 0.2500 0.2500 0.0000  8 O 2.16-2.18

---

[3]
## HoTa3O9 (PBE)

Data for a relaxed HoTa3O9 crystal.

Output
corrected total energy (MP2020 scheme): -10.010 eV/atom
calculated volume: 11.943 A^3/atom
total magnetic moment: 0.00 μB/atom
total energy: -9.535 eV/atom
SG: Pnma (62)

Unit cell a=6.4639 b=7.6334 c=12.5864 alpha=90.00 beta=90.00 gamma=90.00
Closest atoms and distances in Å follow each position.
Fractional coordinates of all 52 atoms:
1 Ho 0.5562 0.2500 0.0366  8 O 2.34-2.61
2 Ho 0.4438 0.7500 0.9634  8 O 2.34-2.61
3 Ho 0.9438 0.7500 0.5366  8 O 2.34-2.61
4 Ho 0.0562 0.2500 0.4634  8 O 2.34-2.61
5 O 0.9838 0.5429 0.1571  3 Ta 2.01-2.15
6 O 0.6034 0.0370 0.1676  2 Ta 1.97-2.09
7 O 0.8966 0.5370 0.6676  2 Ta 1.97-2.09
8 O 0.6645 0.2500 0.8300  2 Ta 1.98
9 O 0.8966 0.9630 0.6676  2 Ta 1.97-2.09
10 O 0.3966 0.5370 0.8324  2 Ta 1.97-2.09
11 O 0.0796 0.7500 0.9747  2 Ta 2.00
12 O 0.1034 0.0370 0.3324  2 Ta 1.97-2.09
13 O 0.0162 0.0429 0.8429  3 Ta 2.01-2.15
14 O 0.7947 0.0356 0.4633  1 Ta 1.98
15 O 0.7053 0.5356 0.9633  1 Ta 1.98
16 O 0.4838 0.9571 0.3429  3 Ta 2.01-2.15
17 O 0.2037 0.7500 0.6957  2 Ta 1.94
18 O 0.7053 0.9644 0.9633  1 Ta 1.98
19 O 0.2963 0.2500 0.1957  2 Ta 1.94
20 O 0.1645 0.2500 0.6700  2 Ta 1.98
21 O 0.7037 0.7500 0.8043  2 Ta 1.94
22 O 0.7947 0.4644 0.4633  1 Ta 1.98
23 O 0.6034 0.4630 0.1676  2 Ta 1.97-2.09
24 O 0.1034 0.4630 0.3324  2 Ta 1.97-2.09
25 O 0.2947 0.4644 0.0367  1 Ta 1.98
26 O 0.5162 0.0429 0.6571  3 Ta 2.01-2.15
27 O 0.0162 0.4571 0.8429  3 Ta 2.01-2.15
28 O 0.4204 0.2500 0.4747  2 Ta 2.00
29 O 0.8355 0.7500 0.3300  2 Ta 1.98
30 O 0.5796 0.7500 0.5253  2 Ta 2.00
31 O 0.3966 0.9630 0.8324  2 Ta 1.97-2.09
32 O 0.9838 0.9571 0.1571  3 Ta 2.01-2.15
33 O 0.9204 0.2500 0.0253  2 Ta 2.00
34 O 0.2947 0.0356 0.0367  1 Ta 1.98
35 O 0.3355 0.7500 0.1700  2 Ta 1.98
36 O 0.7963 0.2500 0.3043  2 Ta 1.94
37 O 0.4838 0.5429 0.3429  3 Ta 2.01-2.15
38 O 0.5162 0.4571 0.6571  3 Ta 2.01-2.15
39 O 0.2053 0.9644 0.5367  1 Ta 1.98
40 O 0.2053 0.5356 0.5367  1 Ta 1.98
41 Ta 0.7951 0.9970 0.2871  6 O 1.94-2.15
42 Ta 0.5000 0.5000 0.5000  6 O 1.98-2.01
43 Ta 0.7951 0.5030 0.2871  6 O 1.94-2.15
44 Ta 0.0000 0.0000 0.0000  6 O 1.98-2.01
45 Ta 0.7049 0.4970 0.7871  6 O 1.94-2.15
46 Ta 0.0000 0.5000 0.0000  6 O 1.98-2.01
47 Ta 0.2049 0.0030 0.7129  6 O 1.94-2.15
48 Ta 0.2951 0.9970 0.2129  6 O 1.94-2.15
49 Ta 0.2951 0.5030 0.2129  6 O 1.94-2.15
50 Ta 0.7049 0.0030 0.7871  6 O 1.94-2.15
51 Ta 0.5000 0.0000 0.5000  6 O 1.98-2.01
52 Ta 0.2049 0.4970 0.7129  6 O 1.94-2.15

---

[4]
## HoTa3O9 (PBE)

Data for a relaxed HoTa3O9 crystal.

Output
corrected total energy (MP2020 scheme): -10.035 eV/atom
calculated volume: 12.728 A^3/atom
total energy: -9.559 eV/atom
SG: P2_1/m (11)

Unit cell a=7.5261 b=5.2872 c=8.3255 alpha=87.34 beta=90.00 gamma=90.00
Closest atoms and distances in Å follow each position.
Fractional coordinates of all 26 atoms:
1 O 0.7500 0.3353 0.3465  2 Ta 1.99
2 O 0.4567 0.2566 0.5321  2 Ta 2.05-2.19
3 O 0.4348 0.1471 0.2157  2 Ta 1.96-2.05
4 O 0.9483 0.6733 0.1211  2 Ta 1.86-2.00
5 O 0.9348 0.8529 0.7843  2 Ta 1.96-2.05
6 O 0.2500 0.5809 0.3157  2 Ta 2.02
7 O 0.2500 0.9066 0.9775  2 Ta 1.96
8 O 0.0517 0.3267 0.8789  2 Ta 1.86-2.00
9 O 0.2500 0.6647 0.6535  2 Ta 1.99
10 O 0.0652 0.1471 0.2157  2 Ta 1.96-2.05
11 O 0.5433 0.7434 0.4679  2 Ta 2.05-2.19
12 O 0.7500 0.0934 0.0225  2 Ta 1.96
13 O 0.5517 0.6733 0.1211  2 Ta 1.86-2.00
14 O 0.0433 0.2566 0.5321  2 Ta 2.05-2.19
15 O 0.9567 0.7434 0.4679  2 Ta 2.05-2.19
16 O 0.4483 0.3267 0.8789  2 Ta 1.86-2.00
17 O 0.5652 0.8529 0.7843  2 Ta 1.96-2.05
18 O 0.7500 0.4191 0.6843  2 Ta 2.02
19 Ta 0.4938 0.5309 0.6950  5 O 1.86-2.05
20 Ta 0.0000 0.0000 0.0000  6 O 1.96-2.05
21 Ta 0.0062 0.5309 0.6950  5 O 1.86-2.05
22 Ta 0.5000 0.0000 0.0000  6 O 1.96-2.05
23 Ta 0.9938 0.4691 0.3050  5 O 1.86-2.05
24 Ta 0.5062 0.4691 0.3050  5 O 1.86-2.05
25 Ho 0.7500 0.0362 0.5648  8 O 2.30-2.51
26 Ho 0.2500 0.9638 0.4352  8 O 2.30-2.51

---

[5]
## Ho2TeO2 (PBE)

Data for a relaxed Ho2TeO2 crystal.

Output
corrected total energy (MP2020 scheme): -7.692 eV/atom
calculated volume: 19.175 A^3/atom
total energy: -7.417 eV/atom
SG: I4/mmm (139)

Unit cell a=6.8290 b=6.8290 c=6.8290 alpha=146.65 beta=146.65 gamma=47.89
Closest atoms and distances in Å follow each position.
Fractional coordinates of all 5 atoms:
1 Te 0.0000 0.0000 0.0000  8 Ho 3.44, 8 O 3.68
2 Ho 0.6634 0.6634 0.0000  4 O 2.24
3 Ho 0.3366 0.3366 0.0000  4 O 2.24
4 O 0.2500 0.7500 0.5000  4 Ho 2.24
5 O 0.7500 0.2500 0.5000  4 Ho 2.24

---

[6]
## Ho2TeO6 (PBE)

Data for a relaxed Ho2TeO6 crystal.

Output
corrected total energy (MP2020 scheme): -7.694 eV/atom
calculated volume: 13.943 A^3/atom
total energy: -7.236 eV/atom
SG: P321 (150)

Unit cell a=9.1572 b=9.1572 c=5.1841 alpha=90.00 beta=90.00 gamma=120.00
Closest atoms and distances in Å follow each position.
Fractional coordinates of all 27 atoms:
1 O 0.4565 0.5892 0.7186  1 Te 1.95
2 O 0.7989 0.9179 0.7906  1 Te 1.94
3 O 0.2228 0.7589 0.2914  1 Te 1.95
4 O 0.4108 0.8673 0.7186  1 Te 1.95
5 O 0.1327 0.5435 0.7186  1 Te 1.95
6 O 0.0821 0.8810 0.7906  1 Te 1.94
7 O 0.5361 0.7772 0.2914  1 Te 1.95
8 O 0.8673 0.4108 0.2814  1 Te 1.95
9 O 0.9179 0.7989 0.2094  1 Te 1.94
10 O 0.5435 0.1327 0.2814  1 Te 1.95
11 O 0.8810 0.0821 0.2094  1 Te 1.94
12 O 0.5892 0.4565 0.2814  1 Te 1.95
13 O 0.2411 0.4639 0.2914  1 Te 1.95
14 O 0.2011 0.1190 0.2094  1 Te 1.94
15 O 0.7772 0.5361 0.7086  1 Te 1.95
16 O 0.4639 0.2411 0.7086  1 Te 1.95
17 O 0.7589 0.2228 0.7086  1 Te 1.95
18 O 0.1190 0.2011 0.7906  1 Te 1.94
19 Ho 0.0000 0.6225 0.0000  6 O 2.24-2.36
20 Ho 0.2855 0.0000 0.5000  6 O 2.21-2.34
21 Ho 0.7145 0.7145 0.5000  6 O 2.21-2.34
22 Ho 0.6225 0.0000 0.0000  6 O 2.24-2.36
23 Ho 0.0000 0.2855 0.5000  6 O 2.21-2.34
24 Ho 0.3775 0.3775 0.0000  6 O 2.24-2.36
25 Te 0.6667 0.3333 0.4950  6 O 1.95
26 Te 0.0000 0.0000 0.0000  6 O 1.94
27 Te 0.3333 0.6667 0.5050  6 O 1.95

---

What is the corrected total energy (MP2020 scheme) in the fifth record?
-7.692 eV/atom